## Zr3NbC4 (r2SCAN)

Data for an optimized crystal structure of Zr3NbC4.

Computed properties:
final energy = -17.51 eV/atom
space-group type = R-3m (166)
calculated formation energy = -0.914 eV/atom
crystal system = trigonal

a b c (Å): 10.929 10.929 10.929
angles (deg): 17.32 17.32 17.32
Positions (direct):
Zr  0.000  0.000  0.000
Zr  0.249  0.249  0.249
Zr  0.751  0.751  0.751
Nb  0.500  0.500  0.500
C  0.127  0.127  0.127
C  0.376  0.376  0.376
C  0.624  0.624  0.624
C  0.873  0.873  0.873

## CeZn3 (r2SCAN)

Data for an optimized crystal structure of CeZn3.

Computed properties:
final energy = -14.72 eV/atom
space-group type = Pnma (62)
calculated formation energy = -0.331 eV/atom
crystal system = orthorhombic

a b c (Å): 6.534 4.565 10.350
angles (deg): 90.00 90.00 90.00
Positions (direct):
Ce  0.249  0.250  0.150
Ce  0.251  0.750  0.650
Ce  0.749  0.250  0.350
Ce  0.751  0.750  0.850
Zn  0.058  0.750  0.370
Zn  0.061  0.250  0.869
Zn  0.249  0.750  0.952
Zn  0.251  0.250  0.452
Zn  0.439  0.750  0.369
Zn  0.442  0.250  0.870
Zn  0.558  0.750  0.130
Zn  0.561  0.250  0.631
Zn  0.749  0.750  0.548
Zn  0.751  0.250  0.048
Zn  0.939  0.750  0.131
Zn  0.942  0.250  0.630

## USe2 (r2SCAN)

Data for an optimized crystal structure of USe2.

Computed properties:
final energy = -37.66 eV/atom
space-group type = P-62m (189)
calculated formation energy = -1.474 eV/atom
crystal system = hexagonal

a b c (Å): 7.698 7.698 4.166
angles (deg): 90.00 90.00 120.00
Positions (direct):
U  0.000  0.000  0.000
U  0.333  0.667  0.500
U  0.667  0.333  0.500
Se  0.000  0.259  0.500
Se  0.000  0.597  0.000
Se  0.259  0.000  0.500
Se  0.403  0.403  0.000
Se  0.597  0.000  0.000
Se  0.741  0.741  0.500

## SmMn2O5 (r2SCAN)

Data for an optimized crystal structure of SmMn2O5.

Computed properties:
final energy = -13.87 eV/atom
space-group type = Pbam (55)
calculated formation energy = -2.747 eV/atom
crystal system = orthorhombic

a b c (Å): 7.395 8.579 5.706
angles (deg): 90.00 90.00 90.00
Positions (direct):
Sm  0.140  0.172  0.000
Sm  0.360  0.672  0.000
Sm  0.640  0.328  0.000
Sm  0.860  0.828  0.000
Mn  0.000  0.500  0.256
Mn  0.000  0.500  0.744
Mn  0.089  0.850  0.500
Mn  0.411  0.350  0.500
Mn  0.500  0.000  0.256
Mn  0.500  0.000  0.744
Mn  0.589  0.650  0.500
Mn  0.911  0.150  0.500
O  0.000  0.000  0.276
O  0.000  0.000  0.724
O  0.101  0.706  0.248
O  0.101  0.706  0.752
O  0.153  0.436  0.500
O  0.160  0.447  0.000
O  0.340  0.947  0.000
O  0.347  0.936  0.500
O  0.399  0.206  0.248
O  0.399  0.206  0.752
O  0.500  0.500  0.276
O  0.500  0.500  0.724
O  0.601  0.794  0.248
O  0.601  0.794  0.752
O  0.653  0.064  0.500
O  0.660  0.053  0.000
O  0.840  0.553  0.000
O  0.847  0.564  0.500
O  0.899  0.294  0.248
O  0.899  0.294  0.752

## RbInBr4 (r2SCAN)

Data for an optimized crystal structure of RbInBr4.

Computed properties:
final energy = -16.30 eV/atom
space-group type = Pnna (52)
calculated formation energy = -1.381 eV/atom
crystal system = orthorhombic

a b c (Å): 8.180 10.708 10.680
angles (deg): 90.00 90.00 90.00
Positions (direct):
Rb  0.180  0.250  0.250
Rb  0.320  0.750  0.250
Rb  0.680  0.250  0.750
Rb  0.820  0.750  0.750
In  0.250  0.000  0.682
In  0.250  0.500  0.818
In  0.750  0.000  0.318
In  0.750  0.500  0.182
Br  0.006  0.046  0.820
Br  0.006  0.454  0.680
Br  0.159  0.684  0.949
Br  0.159  0.816  0.551
Br  0.341  0.184  0.551
Br  0.341  0.316  0.949
Br  0.494  0.546  0.680
Br  0.494  0.954  0.820
Br  0.506  0.046  0.180
Br  0.506  0.454  0.320
Br  0.659  0.684  0.051
Br  0.659  0.816  0.449
Br  0.841  0.184  0.449
Br  0.841  0.316  0.051
Br  0.994  0.546  0.320
Br  0.994  0.954  0.180

## Gd6Zn23 (r2SCAN)

Data for an optimized crystal structure of Gd6Zn23.

Computed properties:
final energy = -16.36 eV/atom
space-group type = I4/mmm (139)
calculated formation energy = -0.318 eV/atom
crystal system = tetragonal

a b c (Å): 8.933 8.933 8.933
angles (deg): 119.91 119.91 90.16
Positions (direct):
Gd  0.208  0.208  0.416
Gd  0.208  0.792  0.000
Gd  0.212  0.212  0.000
Gd  0.788  0.788  0.000
Gd  0.792  0.208  0.000
Gd  0.792  0.792  0.584
Zn  0.000  0.000  0.500
Zn  0.000  0.500  0.000
Zn  0.000  0.500  0.500
Zn  0.129  0.377  0.752
Zn  0.172  0.827  0.346
Zn  0.173  0.519  0.346
Zn  0.173  0.828  0.654
Zn  0.374  0.623  0.752
Zn  0.377  0.129  0.752
Zn  0.377  0.626  0.248
Zn  0.481  0.827  0.654
Zn  0.500  0.000  0.000
Zn  0.500  0.000  0.500
Zn  0.500  0.500  0.000
Zn  0.500  0.500  0.500
Zn  0.519  0.173  0.346
Zn  0.623  0.374  0.752
Zn  0.623  0.871  0.248
Zn  0.626  0.377  0.248
Zn  0.827  0.172  0.346
Zn  0.827  0.481  0.654
Zn  0.828  0.173  0.654
Zn  0.871  0.623  0.248

## TbGa3Os (r2SCAN)

Data for an optimized crystal structure of TbGa3Os.

Computed properties:
final energy = -24.27 eV/atom
space-group type = Pm-3m (221)
calculated formation energy = -0.566 eV/atom
crystal system = cubic

a b c (Å): 6.395 6.395 6.395
angles (deg): 90.00 90.00 90.00
Positions (direct):
Tb  0.000  0.000  0.500
Tb  0.000  0.500  0.000
Tb  0.500  0.000  0.000
Ga  0.000  0.000  0.000
Ga  0.292  0.292  0.292
Ga  0.292  0.292  0.708
Ga  0.292  0.708  0.292
Ga  0.292  0.708  0.708
Ga  0.708  0.292  0.292
Ga  0.708  0.292  0.708
Ga  0.708  0.708  0.292
Ga  0.708  0.708  0.708
Os  0.000  0.500  0.500
Os  0.500  0.000  0.500
Os  0.500  0.500  0.000

## Tm2InAg (r2SCAN)

Data for an optimized crystal structure of Tm2InAg.

Computed properties:
final energy = -29.02 eV/atom
space-group type = P4/mmm (123)
calculated formation energy = -0.479 eV/atom
crystal system = tetragonal

a b c (Å): 3.593 3.593 7.440
angles (deg): 90.00 90.00 90.00
Positions (direct):
Tm  0.000  0.000  0.233
Tm  0.000  0.000  0.767
In  0.500  0.500  0.500
Ag  0.500  0.500  0.000

## CuCl2 (r2SCAN)

Data for an optimized crystal structure of CuCl2.

Computed properties:
final energy = -8.39 eV/atom
space-group type = C2/m (12)
calculated formation energy = -0.670 eV/atom
crystal system = monoclinic

a b c (Å): 3.839 3.839 6.851
angles (deg): 116.20 116.20 51.03
Positions (direct):
Cu  0.000  0.000  0.000
Cl  0.276  0.276  0.774
Cl  0.724  0.724  0.226

## KPrTe4 (r2SCAN)

Data for an optimized crystal structure of KPrTe4.

Computed properties:
final energy = -23.99 eV/atom
space-group type = P4/nbm (125)
calculated formation energy = -1.141 eV/atom
crystal system = tetragonal

a b c (Å): 6.989 6.989 8.856
angles (deg): 90.00 90.00 90.00
Positions (direct):
K  0.250  0.250  0.000
K  0.750  0.750  0.000
Pr  0.250  0.250  0.500
Pr  0.750  0.750  0.500
Te  0.108  0.608  0.283
Te  0.108  0.892  0.717
Te  0.392  0.608  0.717
Te  0.392  0.892  0.283
Te  0.608  0.108  0.717
Te  0.608  0.392  0.283
Te  0.892  0.108  0.283
Te  0.892  0.392  0.717

## Al2O3 (r2SCAN)

Data for an optimized crystal structure of Al2O3.

Computed properties:
final energy = -9.58 eV/atom
space-group type = Pbca (61)
calculated formation energy = -3.303 eV/atom
crystal system = orthorhombic

a b c (Å): 4.778 5.034 13.938
angles (deg): 90.00 90.00 90.00
Positions (direct):
Al  0.000  0.184  0.073
Al  0.000  0.316  0.573
Al  0.000  0.684  0.427
Al  0.000  0.816  0.927
Al  0.002  0.247  0.322
Al  0.002  0.253  0.822
Al  0.498  0.747  0.322
Al  0.498  0.753  0.822
Al  0.500  0.184  0.427
Al  0.500  0.316  0.927
Al  0.500  0.684  0.073
Al  0.500  0.816  0.573
Al  0.502  0.247  0.178
Al  0.502  0.253  0.678
Al  0.998  0.747  0.178
Al  0.998  0.753  0.678
O  0.143  0.118  0.203
O  0.143  0.382  0.703
O  0.153  0.664  0.550
O  0.153  0.836  0.050
O  0.198  0.537  0.877
O  0.198  0.963  0.377
O  0.302  0.037  0.877
O  0.302  0.463  0.377
O  0.347  0.164  0.550
O  0.347  0.336  0.050
O  0.357  0.618  0.203
O  0.357  0.882  0.703
O  0.643  0.118  0.297
O  0.643  0.382  0.797
O  0.653  0.664  0.950
O  0.653  0.836  0.450
O  0.698  0.537  0.623
O  0.698  0.963  0.123
O  0.802  0.037  0.623
O  0.802  0.463  0.123
O  0.847  0.164  0.950
O  0.847  0.336  0.450
O  0.857  0.618  0.297
O  0.857  0.882  0.797

## CsSn (r2SCAN)

Data for an optimized crystal structure of CsSn.

Computed properties:
final energy = -25.33 eV/atom
space-group type = I4_1/acd (142)
calculated formation energy = -0.406 eV/atom
crystal system = tetragonal

a b c (Å): 13.271 13.271 13.271
angles (deg): 124.88 124.88 81.73
Positions (direct):
Cs  0.005  0.255  0.509
Cs  0.109  0.750  0.859
Cs  0.245  0.495  0.991
Cs  0.250  0.109  0.859
Cs  0.250  0.609  0.359
Cs  0.255  0.245  0.250
Cs  0.391  0.250  0.641
Cs  0.495  0.005  0.250
Cs  0.505  0.995  0.750
Cs  0.609  0.750  0.359
Cs  0.745  0.755  0.750
Cs  0.750  0.391  0.641
Cs  0.750  0.891  0.141
Cs  0.755  0.505  0.009
Cs  0.891  0.250  0.141
Cs  0.995  0.745  0.491
Sn  0.012  0.719  0.085
Sn  0.074  0.988  0.208
Sn  0.134  0.926  0.415
Sn  0.219  0.512  0.585
Sn  0.281  0.866  0.292
Sn  0.366  0.781  0.792
Sn  0.426  0.634  0.915
Sn  0.488  0.574  0.708
Sn  0.512  0.426  0.292
Sn  0.574  0.366  0.085
Sn  0.634  0.219  0.208
Sn  0.719  0.134  0.708
Sn  0.781  0.488  0.415
Sn  0.866  0.074  0.585
Sn  0.926  0.012  0.792
Sn  0.988  0.281  0.915